No. 1
Here is a geometry-optimized AlC5NCl structure from Materials Project. Energies are from PBE.

- DFT formation energy (eV per atom) = 0.767
- offset from the most stable computed form (eV/f.u.) = 0.00
- MP2020-corrected energy (eV/atom) = -6.74
- total DFT energy (no corrections) (eV for the cell shown) = -106.646
- V (Å³ per cell) = 419.1
- total magnetic moment (μB/f.u.) = 1.0

Cell: 7.474 11.328 5.990 Å, 90.00 124.29 90.00°
Atoms (fractional coordinates):
C 0.722 0.605 0.585
C 0.757 0.750 0.274
C 0.751 0.649 0.418
C 0.243 0.250 0.726
C 0.722 0.895 0.585
C 0.249 0.351 0.582
C 0.278 0.395 0.415
C 0.278 0.105 0.415
C 0.249 0.149 0.582
C 0.751 0.851 0.418
Al 0.630 0.750 0.687
Al 0.370 0.250 0.313
N 0.250 0.250 0.942
N 0.750 0.750 0.058
Cl 0.287 0.750 0.474
Cl 0.713 0.250 0.526

---

No. 2
Here is a geometry-optimized Al2RhC4Cl7O4 structure from Materials Project. Energies are from PBE.

- DFT formation energy (eV per atom) = -1.176
- MP2020-corrected energy (eV/atom) = -5.87
- total DFT energy (no corrections) (eV for the cell shown) = -205.829
- V (Å³ per cell) = 882.1
- total magnetic moment (μB/f.u.) = 0.0

Cell: 9.824 9.883 10.357 Å, 76.48 76.07 66.16°
Atoms (fractional coordinates):
Al 0.700 0.567 0.581
Al 0.169 0.804 0.177
Al 0.300 0.433 0.419
Al 0.831 0.196 0.823
O 0.184 0.987 0.522
O 0.816 0.013 0.478
O 0.667 0.723 0.035
O 0.096 0.729 0.774
O 0.904 0.271 0.226
O 0.445 0.962 0.813
O 0.555 0.038 0.187
O 0.333 0.277 0.965
Cl 0.532 0.381 0.337
Cl 0.180 0.685 0.396
Cl 0.685 0.353 0.953
Cl 0.812 0.652 0.679
Cl 0.063 0.121 0.841
Cl 0.737 0.634 0.368
Cl 0.820 0.315 0.604
Cl 0.263 0.366 0.632
Cl 0.245 0.978 0.175
Cl 0.937 0.879 0.159
Cl 0.755 0.022 0.825
Cl 0.188 0.348 0.321
Cl 0.315 0.647 0.047
Cl 0.468 0.619 0.663
C 0.300 0.993 0.512
C 0.700 0.007 0.488
C 0.790 0.642 0.022
C 0.534 0.022 0.302
C 0.210 0.358 0.978
C 0.939 0.354 0.142
C 0.466 0.978 0.698
C 0.061 0.646 0.858
Rh 0.500 0.000 0.500
Rh 0.000 0.500 0.000

---

No. 3
Here is a geometry-optimized AlCo3C structure from Materials Project. Energies are from PBE.

- DFT formation energy (eV per atom) = -0.223
- total DFT energy (no corrections) (eV for the cell shown) = -35.415
- V (Å³ per cell) = 51.6
- total magnetic moment (μB/f.u.) = 0.0

Cell: 3.723 3.723 3.723 Å, 90.00 90.00 90.00°
Atoms (fractional coordinates):
Co 0.000 0.500 0.500
Co 0.500 0.000 0.500
Co 0.500 0.500 0.000
Al 0.000 0.000 0.000
C 0.500 0.500 0.500

---

No. 4
Here is a geometry-optimized AlCr2C structure from Materials Project. Energies are from PBE.

- DFT formation energy (eV per atom) = -0.173
- total DFT energy (no corrections) (eV for the cell shown) = -65.943
- V (Å³ per cell) = 89.0

Cell: 2.843 2.843 12.708 Å, 90.00 90.00 120.00°
Atoms (fractional coordinates):
Cr 0.667 0.333 0.585
Cr 0.333 0.667 0.085
Cr 0.667 0.333 0.915
Cr 0.333 0.667 0.415
Al 0.667 0.333 0.250
Al 0.333 0.667 0.750
C 0.000 0.000 0.000
C 0.000 0.000 0.500

---

No. 5
Here is a geometry-optimized AlCr4GaC2 structure from Materials Project. Energies are from PBE.

- DFT formation energy (eV per atom) = -0.151
- total DFT energy (no corrections) (eV for the cell shown) = -65.051
- V (Å³ per cell) = 89.0
- total magnetic moment (μB/f.u.) = 0.0

Cell: 2.855 2.855 12.614 Å, 90.00 90.00 120.00°
Atoms (fractional coordinates):
Al 0.667 0.333 0.000
Cr 0.667 0.333 0.665
Cr 0.333 0.667 0.834
Cr 0.667 0.333 0.335
Cr 0.333 0.667 0.166
C 0.000 0.000 0.250
C 0.000 0.000 0.750
Ga 0.333 0.667 0.500

---

No. 6
Here is a geometry-optimized AlH14C4NOF4 structure from Materials Project. Energies are from PBE.

- DFT formation energy (eV per atom) = -0.785
- offset from the most stable computed form (eV/f.u.) = 3.87
- MP2020-corrected energy (eV/atom) = -5.15
- total DFT energy (no corrections) (eV for the cell shown) = -252.392
- V (Å³ per cell) = 595.3
- total magnetic moment (μB/f.u.) = 2.0

Cell: 7.941 9.019 9.472 Å, 68.17 77.90 71.92°
Atoms (fractional coordinates):
C 0.820 0.846 0.870
C 0.486 0.134 0.168
C 0.514 0.866 0.832
C 0.180 0.154 0.130
C 0.746 0.602 0.865
C 0.758 0.835 0.633
C 0.242 0.165 0.367
C 0.254 0.398 0.135
H 0.521 0.175 0.044
H 0.784 0.808 0.994
H 0.665 0.563 0.812
H 0.323 0.862 0.544
H 0.291 0.430 0.011
H 0.176 0.775 0.269
H 0.112 0.449 0.163
H 0.888 0.551 0.837
H 0.794 0.980 0.820
H 0.273 0.302 0.758
H 0.335 0.437 0.188
H 0.511 0.000 0.216
H 0.960 0.788 0.843
H 0.659 0.833 0.569
H 0.709 0.570 0.989
H 0.098 0.191 0.400
H 0.727 0.698 0.242
H 0.479 0.825 0.956
H 0.902 0.809 0.600
H 0.824 0.225 0.731
H 0.560 0.176 0.226
H 0.216 0.192 0.006
H 0.489 0.000 0.784
H 0.677 0.138 0.456
H 0.341 0.167 0.431
H 0.206 0.020 0.180
H 0.040 0.212 0.157
H 0.440 0.824 0.774
N 0.291 0.211 0.201
N 0.709 0.789 0.799
O 0.574 0.232 0.440
O 0.426 0.768 0.560
F 0.630 0.487 0.551
F 0.801 0.770 0.235
F 0.199 0.230 0.765
F 0.607 0.596 0.231
F 0.141 0.648 0.650
F 0.393 0.404 0.769
F 0.859 0.352 0.350
F 0.370 0.513 0.449
Al 0.631 0.419 0.398
Al 0.369 0.581 0.602

---

No. 7
Here is a geometry-optimized AlH10C3N6OF5 structure from Materials Project. Energies are from PBE.

- DFT formation energy (eV per atom) = -1.181
- MP2020-corrected energy (eV/atom) = -6.18
- total DFT energy (no corrections) (eV for the cell shown) = -630.478
- V (Å³ per cell) = 938.5
- total magnetic moment (μB/f.u.) = 0.0

Cell: 7.950 8.781 13.756 Å, 90.00 102.23 90.00°
Atoms (fractional coordinates):
F 0.277 0.306 0.940
F 0.645 0.614 0.686
F 0.052 0.433 0.805
F 0.856 0.740 0.329
F 0.277 0.194 0.440
F 0.380 0.413 0.790
F 0.948 0.933 0.695
F 0.355 0.114 0.814
F 0.723 0.806 0.560
F 0.620 0.587 0.210
F 0.144 0.260 0.671
F 0.948 0.567 0.195
F 0.620 0.913 0.710
F 0.380 0.087 0.290
F 0.144 0.240 0.171
F 0.723 0.694 0.060
F 0.645 0.886 0.186
F 0.052 0.067 0.305
F 0.856 0.760 0.829
F 0.355 0.386 0.314
H 0.803 0.925 0.897
H 0.468 0.688 0.278
H 0.428 0.615 0.790
H 0.938 0.172 0.854
H 0.428 0.885 0.290
H 0.572 0.385 0.210
H 0.133 0.967 0.628
H 0.680 0.483 0.081
H 0.320 0.983 0.419
H 0.197 0.075 0.103
H 0.996 0.055 0.773
H 0.532 0.312 0.722
H 0.938 0.328 0.354
H 0.320 0.517 0.919
H 0.996 0.445 0.273
H 0.532 0.188 0.222
H 0.661 0.485 0.619
H 0.867 0.033 0.372
H 0.262 0.140 0.998
H 0.572 0.115 0.710
H 0.197 0.425 0.603
H 0.062 0.672 0.646
H 0.867 0.467 0.872
H 0.213 0.081 0.542
H 0.262 0.360 0.498
H 0.661 0.015 0.119
H 0.213 0.419 0.042
H 0.738 0.640 0.502
H 0.680 0.017 0.581
H 0.803 0.575 0.397
H 0.133 0.533 0.128
H 0.339 0.515 0.381
H 0.004 0.555 0.727
H 0.787 0.581 0.958
H 0.468 0.812 0.778
H 0.004 0.945 0.227
H 0.787 0.919 0.458
H 0.738 0.860 0.002
H 0.062 0.828 0.146
H 0.339 0.985 0.881
C 0.648 0.253 0.107
C 0.261 0.906 0.011
C 0.648 0.247 0.607
C 0.241 0.853 0.528
C 0.739 0.406 0.489
C 0.261 0.594 0.511
C 0.759 0.147 0.472
C 0.739 0.094 0.989
C 0.352 0.747 0.893
C 0.759 0.353 0.972
C 0.352 0.753 0.393
C 0.241 0.647 0.028
N 0.243 0.453 0.541
N 0.199 0.976 0.572
N 0.782 0.287 0.438
N 0.689 0.373 0.055
N 0.326 0.612 0.426
N 0.782 0.213 0.938
N 0.757 0.953 0.959
N 0.218 0.713 0.562
N 0.757 0.547 0.459
N 0.311 0.873 0.445
N 0.584 0.275 0.187
N 0.689 0.127 0.555
N 0.801 0.476 0.928
N 0.243 0.047 0.041
N 0.674 0.112 0.074
N 0.326 0.888 0.926
N 0.311 0.627 0.945
N 0.416 0.775 0.313
N 0.584 0.225 0.687
N 0.674 0.388 0.574
N 0.416 0.725 0.813
N 0.801 0.024 0.428
N 0.199 0.524 0.072
N 0.218 0.787 0.062
O 0.964 0.865 0.174
O 0.036 0.365 0.326
O 0.036 0.135 0.826
O 0.964 0.635 0.674
Al 0.209 0.279 0.803
Al 0.209 0.221 0.303
Al 0.791 0.721 0.197
Al 0.791 0.779 0.697

---

No. 8
Here is a geometry-optimized AlH14C4NOF4 structure from Materials Project. Energies are from PBE.

- DFT formation energy (eV per atom) = -0.940
- offset from the most stable computed form (eV/f.u.) = 0.00
- MP2020-corrected energy (eV/atom) = -5.30
- total DFT energy (no corrections) (eV for the cell shown) = -260.138
- V (Å³ per cell) = 566.4
- total magnetic moment (μB/f.u.) = 0.0

Cell: 6.926 9.246 9.738 Å, 71.21 73.83 82.45°
Atoms (fractional coordinates):
H 0.254 0.412 0.046
H 0.812 0.828 0.965
H 0.211 0.999 0.185
H 0.070 0.382 0.223
H 0.930 0.618 0.777
H 0.283 0.761 0.269
H 0.605 0.679 0.204
H 0.993 0.863 0.787
H 0.188 0.172 0.035
H 0.645 0.810 0.586
H 0.549 0.057 0.170
H 0.395 0.321 0.796
H 0.532 0.225 0.014
H 0.704 0.988 0.598
H 0.296 0.012 0.402
H 0.100 0.157 0.430
H 0.468 0.775 0.986
H 0.900 0.843 0.570
H 0.789 0.001 0.815
H 0.451 0.943 0.830
H 0.007 0.137 0.213
H 0.355 0.190 0.414
H 0.717 0.239 0.731
H 0.597 0.243 0.174
H 0.320 0.430 0.206
H 0.403 0.757 0.826
H 0.746 0.588 0.954
H 0.680 0.570 0.794
F 0.635 0.548 0.521
F 0.265 0.716 0.600
F 0.461 0.809 0.249
F 0.365 0.452 0.479
F 0.858 0.275 0.720
F 0.142 0.725 0.280
F 0.539 0.191 0.751
F 0.735 0.284 0.400
C 0.835 0.879 0.844
C 0.742 0.865 0.624
C 0.165 0.121 0.156
C 0.258 0.135 0.376
C 0.490 0.820 0.864
C 0.510 0.180 0.136
C 0.229 0.369 0.168
C 0.771 0.631 0.832
O 0.677 0.577 0.201
O 0.323 0.423 0.799
Al 0.633 0.462 0.380
Al 0.367 0.538 0.620
N 0.709 0.798 0.790
N 0.291 0.202 0.210

---

No. 9
Here is a geometry-optimized Na7AlH2C4O12F4 structure from Materials Project. Energies are from PBE.

- DFT formation energy (eV per atom) = -2.320
- MP2020-corrected energy (eV/atom) = -6.44
- total DFT energy (no corrections) (eV for the cell shown) = -183.256
- V (Å³ per cell) = 341.5
- total magnetic moment (μB/f.u.) = 0.0

Cell: 6.543 6.762 8.918 Å, 80.39 82.66 61.56°
Atoms (fractional coordinates):
Na 0.340 0.385 0.642
Na 0.657 0.119 0.355
Na 0.000 0.000 0.000
Na 0.500 0.000 0.000
Na 0.660 0.615 0.358
Na 0.000 0.500 0.000
Na 0.343 0.881 0.645
O 0.783 0.392 0.864
O 0.031 0.771 0.621
O 0.976 0.744 0.338
O 0.835 0.869 0.844
O 0.647 0.505 0.626
O 0.165 0.131 0.156
O 0.353 0.495 0.374
O 0.358 0.993 0.374
O 0.217 0.608 0.136
O 0.024 0.256 0.662
O 0.969 0.229 0.379
O 0.642 0.007 0.626
C 0.824 0.889 0.701
C 0.176 0.111 0.299
C 0.185 0.613 0.285
C 0.815 0.387 0.715
H 0.003 0.772 0.510
H 0.997 0.228 0.490
Al 0.500 0.500 0.000
F 0.641 0.606 0.108
F 0.359 0.394 0.892
F 0.635 0.214 0.106
F 0.365 0.786 0.894

---

No. 10
Here is a geometry-optimized Al5C2N6F17 structure from Materials Project. Energies are from PBE.

- DFT formation energy (eV per atom) = -1.975
- MP2020-corrected energy (eV/atom) = -5.97
- total DFT energy (no corrections) (eV for the cell shown) = -171.151
- V (Å³ per cell) = 394.5
- total magnetic moment (μB/f.u.) = 8.0

Cell: 3.658 9.612 12.204 Å, 113.19 90.00 90.00°
Atoms (fractional coordinates):
F 0.000 0.612 0.687
F 0.000 0.903 0.805
F 0.000 0.925 0.313
F 0.500 0.107 0.845
F 0.000 0.075 0.687
F 0.500 0.893 0.155
F 0.000 0.573 0.884
F 0.000 0.689 0.116
F 0.500 0.262 0.155
F 0.000 0.142 0.000
F 0.000 0.097 0.195
F 0.000 0.311 0.884
F 0.000 0.427 0.116
F 0.500 0.738 0.845
F 0.000 0.388 0.313
F 0.500 0.500 0.000
F 0.000 0.858 0.000
Al 0.000 0.500 0.000
Al 0.000 0.265 0.159
Al 0.000 0.894 0.159
Al 0.000 0.735 0.841
Al 0.000 0.106 0.841
N 0.500 0.676 0.352
N 0.500 0.888 0.534
N 0.500 0.112 0.466
N 0.500 0.324 0.648
N 0.500 0.355 0.466
N 0.500 0.645 0.534
C 0.500 0.736 0.472
C 0.500 0.264 0.528

---

No. 11
Here is a geometry-optimized AlFe3C structure from Materials Project. Energies are from PBE.

- DFT formation energy (eV per atom) = -0.160
- total DFT energy (no corrections) (eV for the cell shown) = -39.185
- V (Å³ per cell) = 53.0

Cell: 3.756 3.756 3.756 Å, 90.00 90.00 90.00°
Atoms (fractional coordinates):
Fe 0.500 0.500 0.000
Fe 0.000 0.500 0.500
Fe 0.500 0.000 0.500
C 0.500 0.500 0.500
Al 0.000 0.000 0.000

---

Q: Among the records above, which one has the highest V?
A: AlH10C3N6OF5